# CaCoN2, optimized geometry, DFT GGA-PBE
data_CaCoN2
_chemical_formula_sum 'Ca8 Co8 N16'
_space_group_name_H-M_alt 'P n a 21'
_space_group_IT_number 33
_space_group_name_Hall 'P 2c -2n'
_cell_length_a 11.7706
_cell_length_b 8.3382
_cell_length_c 8.7061
_cell_angle_alpha 90.00
_cell_angle_beta 90.00
_cell_angle_gamma 90.00
loop_
_atom_site_label
_atom_site_type_symbol
_atom_site_fract_x
_atom_site_fract_y
_atom_site_fract_z
Ca1 Ca 0.1691 0.1182 0.0000
Ca2 Ca 0.1787 0.6137 0.8701
Co1 Co 0.0077 0.6446 0.6043
Co2 Co 0.0145 0.1520 0.2903
N1 N 0.1001 0.8782 0.8907
N2 N 0.1120 0.4000 0.0230
N3 N 0.1394 0.0737 0.2725
N4 N 0.1413 0.6124 0.5862
# ΔH_f (0 K): 0.07 eV per atom
# Total magnetic moment: 0.00 Bohr magnetons per cell
# Total energy after the MP2020 corrections: -6.3765 eV per atom